A relaxed structure of TbSiPt, computed with r2SCAN.

The formation energy comes out at -125 kJ/mol of atoms. For the calculated total energy, the calculation gives -31.7876 eV/atom.

a b c (Å): 4.291 7.034 7.436
angles (deg): 90.00 90.00 90.00
Element x y z (fractional)
1 Tb 0.750 0.004 0.299
2 Tb 0.250 0.496 0.799
3 Tb 0.250 0.996 0.701
4 Tb 0.750 0.504 0.201
5 Pt 0.250 0.200 0.085
6 Pt 0.750 0.800 0.915
7 Pt 0.250 0.700 0.415
8 Pt 0.750 0.300 0.585
9 Si 0.750 0.186 0.913
10 Si 0.750 0.686 0.587
11 Si 0.250 0.814 0.087
12 Si 0.250 0.314 0.413